[1]
Material: BiTePd
Method: DFT, GGA-PBE
State: optimized geometry

Values from the calculation:
For the volume, the calculation gives 77.1 Å³/f.u. For the total energy, the calculation gives -52.94 eV/cell. As for the mass density: 9.54 g/cm3.

Cell lengths 6.7566, 6.7566, 6.7566 Å; angles 90.00, 90.00, 90.00 degrees
Element x y z (fractional)
Bi 0.1317 0.3683 0.6317
Bi 0.3683 0.6317 0.1317
Bi 0.6317 0.1317 0.3683
Bi 0.8683 0.8683 0.8683
Te 0.1270 0.1270 0.1270
Te 0.3730 0.8730 0.6270
Te 0.6270 0.3730 0.8730
Te 0.8730 0.6270 0.3730
Pd 0.0048 0.9952 0.4952
Pd 0.4952 0.0048 0.9952
Pd 0.5048 0.5048 0.5048
Pd 0.9952 0.4952 0.0048


[2]
Material: Ho2Ga3Ni
Method: DFT, GGA-PBE
State: optimized geometry

Values from the calculation:
For the volume, the calculation gives 115.5 Å³/f.u. For the total energy, the calculation gives -27.90 eV/cell. As for the mass density: 8.59 g/cm3.

Cell lengths 5.5526, 5.5526, 7.0866 Å; angles 128.79, 128.79, 46.22 degrees
Element x y z (fractional)
Ho 0.0000 0.0000 0.0000
Ho 0.0864 0.0864 0.5890
Ga 0.3782 0.3782 0.1963
Ga 0.6885 0.6885 0.9785
Ga 0.7172 0.7172 0.4151
Ni 0.3737 0.3737 0.5724


[3]
Material: LiCuPO4
Method: DFT, GGA-PBE
State: optimized geometry

Values from the calculation:
For the volume, the calculation gives 79.3 Å³/f.u. The total magnetic moment is 1.000 μB/f.u. Its energy with MP2020 corrections is -6.611 eV/atom. As for the mass density: 3.47 g/cm3.

Cell lengths 7.4945, 7.4945, 9.7794 Å; angles 90.00, 90.00, 120.00 degrees
Element x y z (fractional)
Li 0.0697 0.5877 0.0000
Li 0.4123 0.4819 0.0000
Li 0.4819 0.4123 0.5000
Li 0.5181 0.9303 0.0000
Li 0.5877 0.0697 0.5000
Li 0.9303 0.5181 0.5000
Cu 0.0433 0.2704 0.7890
Cu 0.2271 0.9567 0.7890
Cu 0.2704 0.0433 0.2890
Cu 0.7296 0.7729 0.7890
Cu 0.7729 0.7296 0.2890
Cu 0.9567 0.2271 0.2890
P 0.0000 0.0000 0.0247
P 0.0000 0.0000 0.5247
P 0.3333 0.6667 0.2879
P 0.3333 0.6667 0.6994
P 0.6667 0.3333 0.1994
P 0.6667 0.3333 0.7879
O 0.0000 0.0000 0.1906
O 0.0000 0.0000 0.6906
O 0.0983 0.8733 0.9741
O 0.1146 0.5135 0.3465
O 0.1267 0.2250 0.9741
O 0.2027 0.4439 0.6410
O 0.2250 0.1267 0.4741
O 0.2412 0.7973 0.6410
O 0.3333 0.6667 0.1303
O 0.3333 0.6667 0.8575
O 0.3989 0.8854 0.3465
O 0.4439 0.2027 0.1410
O 0.4865 0.6011 0.3465
O 0.5135 0.1146 0.8465
O 0.5561 0.7588 0.6410
O 0.6011 0.4865 0.8465
O 0.6667 0.3333 0.3575
O 0.6667 0.3333 0.6303
O 0.7588 0.5561 0.1410
O 0.7750 0.9017 0.9741
O 0.7973 0.2412 0.1410
O 0.8733 0.0983 0.4741
O 0.8854 0.3989 0.8465
O 0.9017 0.7750 0.4741


[4]
Material: BeZn13
Method: DFT, GGA-PBE
State: optimized geometry

Values from the calculation:
For the volume, the calculation gives 226.9 Å³/f.u. For the total energy, the calculation gives -34.47 eV/cell. The total magnetic moment is 0.002 μB/f.u. As for the mass density: 6.29 g/cm3.

Cell lengths 8.6253, 8.6253, 8.6253 Å; angles 60.00, 60.00, 60.00 degrees
Element x y z (fractional)
Be 0.2500 0.2500 0.2500
Be 0.7500 0.7500 0.7500
Zn 0.0000 0.0000 0.0000
Zn 0.0613 0.3020 0.6980
Zn 0.0613 0.6980 0.9387
Zn 0.0613 0.9387 0.3020
Zn 0.1980 0.4387 0.8020
Zn 0.1980 0.5613 0.4387
Zn 0.1980 0.8020 0.5613
Zn 0.3020 0.0613 0.9387
Zn 0.3020 0.6980 0.0613
Zn 0.3020 0.9387 0.6980
Zn 0.4387 0.1980 0.5613
Zn 0.4387 0.5613 0.8020
Zn 0.4387 0.8020 0.1980
Zn 0.5000 0.5000 0.5000
Zn 0.5613 0.1980 0.8020
Zn 0.5613 0.4387 0.1980
Zn 0.5613 0.8020 0.4387
Zn 0.6980 0.0613 0.3020
Zn 0.6980 0.3020 0.9387
Zn 0.6980 0.9387 0.0613
Zn 0.8020 0.1980 0.4387
Zn 0.8020 0.4387 0.5613
Zn 0.8020 0.5613 0.1980
Zn 0.9387 0.0613 0.6980
Zn 0.9387 0.3020 0.0613
Zn 0.9387 0.6980 0.3020


[5]
Material: BaCaTbBiO6
Method: DFT, GGA-PBE
State: optimized geometry

Values from the calculation:
For the volume, the calculation gives 161.6 Å³/f.u. The total magnetic moment is 0.000 μB/f.u. Its energy with MP2020 corrections is -6.915 eV/atom. As for the mass density: 6.59 g/cm3.

Cell lengths 6.1140, 6.1140, 6.1140 Å; angles 60.00, 60.00, 60.00 degrees
Element x y z (fractional)
Ba 0.0000 0.0000 0.0000
Ca 0.5000 0.5000 0.5000
Tb 0.2500 0.2500 0.2500
Bi 0.7500 0.7500 0.7500
O 0.5062 0.5062 0.9938
O 0.5062 0.9938 0.5062
O 0.5062 0.9938 0.9938
O 0.9938 0.5062 0.5062
O 0.9938 0.5062 0.9938
O 0.9938 0.9938 0.5062


[6]
Material: CuH2N2Cl4
Method: DFT, GGA-PBE
State: optimized geometry

Values from the calculation:
For the volume, the calculation gives 221.6 Å³/f.u. The total magnetic moment is 4.940 μB/f.u. Its energy with MP2020 corrections is -3.113 eV/atom. As for the mass density: 1.76 g/cm3.

Cell lengths 7.6654, 7.6654, 7.5421 Å; angles 90.00, 90.00, 90.00 degrees
Element x y z (fractional)
Cu 0.0000 0.0000 0.0000
Cu 0.5000 0.5000 0.5000
H 0.0000 0.0000 0.4048
H 0.0000 0.0000 0.5952
H 0.5000 0.5000 0.0952
H 0.5000 0.5000 0.9048
N 0.0000 0.5000 0.2500
N 0.0000 0.5000 0.7500
N 0.5000 0.0000 0.2500
N 0.5000 0.0000 0.7500
Cl 0.1311 0.1311 0.5000
Cl 0.1883 0.1883 0.0000
Cl 0.3117 0.6883 0.5000
Cl 0.3689 0.6311 0.0000
Cl 0.6311 0.3689 0.0000
Cl 0.6883 0.3117 0.5000
Cl 0.8117 0.8117 0.0000
Cl 0.8689 0.8689 0.5000


[7]
Material: KNaSi5SnO16
Method: DFT, GGA-PBE
State: optimized geometry

Values from the calculation:
For the volume, the calculation gives 380.0 Å³/f.u. The total magnetic moment is 3.000 μB/f.u. Its energy with MP2020 corrections is -6.909 eV/atom. As for the mass density: 2.52 g/cm3.

Cell lengths 9.5950, 9.5950, 9.3457 Å; angles 98.03, 98.03, 113.95 degrees
Element x y z (fractional)
K 0.1226 0.1226 0.3651
K 0.8774 0.8774 0.6349
Na 0.3749 0.6251 0.5000
Na 0.6251 0.3749 0.5000
Si 0.1557 0.7423 0.2742
Si 0.1875 0.3875 0.7538
Si 0.2577 0.8443 0.7258
Si 0.3054 0.6946 0.0000
Si 0.3875 0.1875 0.7538
Si 0.6125 0.8125 0.2462
Si 0.6946 0.3054 0.0000
Si 0.7423 0.1557 0.2742
Si 0.8125 0.6125 0.2462
Si 0.8443 0.2577 0.7258
Sn 0.0000 0.5000 0.5000
Sn 0.5000 0.0000 0.5000
O 0.0148 0.2479 0.7522
O 0.0818 0.7192 0.6369
O 0.1359 0.2127 0.0724
O 0.1436 0.6028 0.3609
O 0.1824 0.4639 0.6095
O 0.1914 0.6982 0.1120
O 0.2127 0.1359 0.0724
O 0.2465 0.5161 0.9091
O 0.2479 0.0148 0.7522
O 0.2808 0.9182 0.3631
O 0.3018 0.8086 0.8880
O 0.3058 0.3058 0.7457
O 0.3972 0.8564 0.6391
O 0.4071 0.4071 0.4101
O 0.4639 0.1824 0.6095
O 0.4839 0.7535 0.0909
O 0.5161 0.2465 0.9091
O 0.5361 0.8176 0.3905
O 0.5929 0.5929 0.5899
O 0.6028 0.1436 0.3609
O 0.6942 0.6942 0.2543
O 0.6982 0.1914 0.1120
O 0.7192 0.0818 0.6369
O 0.7521 0.9852 0.2478
O 0.7535 0.4839 0.0909
O 0.7873 0.8641 0.9276
O 0.8086 0.3018 0.8880
O 0.8176 0.5361 0.3905
O 0.8564 0.3972 0.6391
O 0.8641 0.7873 0.9276
O 0.9182 0.2808 0.3631
O 0.9852 0.7521 0.2478


[8]
Material: SmSe2O8
Method: DFT, GGA-PBE
State: optimized geometry

Values from the calculation:
For the volume, the calculation gives 190.7 Å³/f.u. The total magnetic moment is 2.001 μB/f.u. Its energy with MP2020 corrections is -5.998 eV/atom. As for the mass density: 3.80 g/cm3.

Cell lengths 6.5971, 7.1567, 16.1561 Å; angles 90.00, 90.00, 90.00 degrees
Element x y z (fractional)
Sm 0.1180 0.0956 0.2764
Sm 0.3820 0.9044 0.7764
Sm 0.6180 0.4044 0.7236
Sm 0.8820 0.5956 0.2236
Se 0.1351 0.2778 0.0575
Se 0.1439 0.3843 0.7833
Se 0.3561 0.6157 0.2833
Se 0.3649 0.7222 0.5575
Se 0.6351 0.2222 0.9425
Se 0.6439 0.1157 0.2167
Se 0.8561 0.8843 0.7167
Se 0.8649 0.7778 0.4425
O 0.0020 0.4548 0.1007
O 0.0035 0.7068 0.5253
O 0.0301 0.9089 0.7934
O 0.1106 0.2351 0.5265
O 0.1235 0.3214 0.4608
O 0.1581 0.1079 0.1294
O 0.1851 0.7778 0.2407
O 0.1923 0.4264 0.2703
O 0.3077 0.5736 0.7703
O 0.3149 0.2222 0.7407
O 0.3419 0.8921 0.6294
O 0.3765 0.6786 0.9608
O 0.3894 0.7649 0.0265
O 0.4699 0.0911 0.2934
O 0.4965 0.2932 0.0253
O 0.4980 0.5452 0.6007
O 0.5020 0.0452 0.8993
O 0.5035 0.7932 0.4747
O 0.5301 0.5911 0.2066
O 0.6106 0.2649 0.4735
O 0.6235 0.1786 0.5392
O 0.6581 0.3921 0.8706
O 0.6851 0.7222 0.7593
O 0.6923 0.0736 0.7297
O 0.8077 0.9264 0.2297
O 0.8149 0.2778 0.2593
O 0.8419 0.6079 0.3706
O 0.8765 0.8214 0.0392
O 0.8894 0.7351 0.9735
O 0.9699 0.4089 0.7066
O 0.9965 0.2068 0.9747
O 0.9980 0.9548 0.3993


[9]
Material: Cs3Cu2Cl5
Method: DFT, GGA-PBE
State: optimized geometry

Values from the calculation:
For the volume, the calculation gives 335.3 Å³/f.u. Its energy with MP2020 corrections is -3.688 eV/atom. As for the mass density: 3.48 g/cm3.

Cell lengths 9.4783, 10.6363, 13.3029 Å; angles 90.00, 90.00, 90.00 degrees
Element x y z (fractional)
Cs 0.0387 0.0132 0.1790
Cs 0.0387 0.4868 0.1790
Cs 0.1073 0.7500 0.4540
Cs 0.3927 0.2500 0.9540
Cs 0.4613 0.5132 0.6790
Cs 0.4613 0.9868 0.6790
Cs 0.5387 0.0132 0.3210
Cs 0.5387 0.4868 0.3210
Cs 0.6073 0.7500 0.0460
Cs 0.8927 0.2500 0.5460
Cs 0.9613 0.5132 0.8210
Cs 0.9613 0.9868 0.8210
Cu 0.2077 0.7500 0.0490
Cu 0.2351 0.2500 0.3628
Cu 0.2649 0.7500 0.8628
Cu 0.2923 0.2500 0.5490
Cu 0.7077 0.7500 0.4510
Cu 0.7351 0.2500 0.1372
Cu 0.7649 0.7500 0.6372
Cu 0.7923 0.2500 0.9510
Cl 0.0235 0.2500 0.9892
Cl 0.1792 0.7500 0.7069
Cl 0.1853 0.0668 0.4409
Cl 0.1853 0.4332 0.4409
Cl 0.1969 0.2500 0.7027
Cl 0.3031 0.7500 0.2027
Cl 0.3147 0.5668 0.9409
Cl 0.3147 0.9332 0.9409
Cl 0.3208 0.2500 0.2069
Cl 0.4765 0.7500 0.4892
Cl 0.5235 0.2500 0.5108
Cl 0.6792 0.7500 0.7931
Cl 0.6853 0.0668 0.0591
Cl 0.6853 0.4332 0.0591
Cl 0.6969 0.2500 0.7973
Cl 0.8031 0.7500 0.2973
Cl 0.8147 0.5668 0.5591
Cl 0.8147 0.9332 0.5591
Cl 0.8208 0.2500 0.2931
Cl 0.9765 0.7500 0.0108


[10]
Material: Ag2IO5
Method: DFT, GGA-PBE
State: optimized geometry

Values from the calculation:
For the volume, the calculation gives 116.3 Å³/f.u. The total magnetic moment is 0.376 μB/f.u. Its energy with MP2020 corrections is -4.515 eV/atom. As for the mass density: 6.03 g/cm3.

Cell lengths 5.9947, 8.0275, 10.8878 Å; angles 90.00, 117.36, 90.00 degrees
Element x y z (fractional)
Ag 0.0412 0.1376 0.1433
Ag 0.0412 0.3624 0.6433
Ag 0.2407 0.5875 0.1700
Ag 0.2407 0.9125 0.6700
Ag 0.7593 0.0875 0.3300
Ag 0.7593 0.4125 0.8300
Ag 0.9588 0.6376 0.3567
Ag 0.9588 0.8624 0.8567
I 0.3785 0.1852 0.9619
I 0.3785 0.3148 0.4619
I 0.6215 0.6852 0.5381
I 0.6215 0.8148 0.0381
O 0.1107 0.0844 0.8006
O 0.1107 0.4156 0.3006
O 0.1433 0.2028 0.5052
O 0.1433 0.2972 0.0052
O 0.3452 0.7348 0.8863
O 0.3452 0.7652 0.3863
O 0.3715 0.5202 0.5683
O 0.3715 0.9798 0.0683
O 0.4087 0.1591 0.3407
O 0.4087 0.3409 0.8407
O 0.5913 0.6591 0.1593
O 0.5913 0.8409 0.6593
O 0.6285 0.0202 0.9317
O 0.6285 0.4798 0.4317
O 0.6548 0.2348 0.6137
O 0.6548 0.2652 0.1137
O 0.8567 0.7028 0.9948
O 0.8567 0.7972 0.4948
O 0.8893 0.5844 0.6994
O 0.8893 0.9156 0.1994


[11]
Material: UPd2Pb
Method: DFT, GGA-PBE
State: optimized geometry

Values from the calculation:
For the volume, the calculation gives 83.2 Å³/f.u. For the total energy, the calculation gives -26.12 eV/cell. The total magnetic moment is 0.135 μB/f.u. As for the mass density: 13.14 g/cm3.

Cell lengths 4.8997, 4.8997, 4.8997 Å; angles 60.00, 60.00, 60.00 degrees
Element x y z (fractional)
U 0.0000 0.0000 0.0000
Pd 0.2500 0.2500 0.2500
Pd 0.7500 0.7500 0.7500
Pb 0.5000 0.5000 0.5000


[12]
Material: La2MgSnO6
Method: DFT, GGA-PBE
State: optimized geometry

Values from the calculation:
For the volume, the calculation gives 132.7 Å³/f.u. The total magnetic moment is 0.000 μB/f.u. Its energy with MP2020 corrections is -7.723 eV/atom. As for the mass density: 6.47 g/cm3.

Cell lengths 5.6968, 5.6968, 5.6968 Å; angles 60.66, 60.66, 60.66 degrees
Element x y z (fractional)
La 0.2489 0.2489 0.2489
La 0.7511 0.7511 0.7511
Mg 0.5000 0.5000 0.5000
Sn 0.0000 0.0000 0.0000
O 0.1614 0.7532 0.3368
O 0.2468 0.6632 0.8386
O 0.3368 0.1614 0.7532
O 0.6632 0.8386 0.2468
O 0.7532 0.3368 0.1614
O 0.8386 0.2468 0.6632


[13]
Material: U2Si3Pt
Method: DFT, GGA-PBE
State: optimized geometry

Values from the calculation:
For the volume, the calculation gives 112.5 Å³/f.u. For the total energy, the calculation gives -48.11 eV/cell. As for the mass density: 11.15 g/cm3.

Cell lengths 3.8166, 4.1572, 7.0919 Å; angles 90.00, 90.00, 90.00 degrees
Element x y z (fractional)
U 0.0000 0.0000 0.0000
U 0.0000 0.5000 0.4835
Si 0.5000 0.0000 0.3236
Si 0.5000 0.0000 0.6511
Si 0.5000 0.5000 0.1661
Pt 0.5000 0.5000 0.8254